A relaxed structure of KLaS2O9. Source: the Materials Project, functional PBE.

POSCAR file:
```
KLaS2O9
1.0
7.324 0.000 0.000
-3.662 6.343 0.000
0.000 0.000 13.430
K La S O
3 3 6 27
Direct
0.000 0.449 0.167 K
0.449 0.000 0.833 K
0.551 0.551 0.500 K
0.000 0.454 0.667 La
0.454 0.000 0.333 La
0.546 0.546 0.000 La
0.006 0.446 0.906 S
0.440 0.994 0.573 S
0.446 0.006 0.094 S
0.554 0.560 0.239 S
0.560 0.554 0.761 S
0.994 0.440 0.427 S
0.000 0.102 0.667 O
0.102 0.000 0.333 O
0.116 0.627 0.835 O
0.118 0.375 0.492 O
0.135 0.618 0.360 O
0.160 0.422 0.968 O
0.256 0.882 0.159 O
0.262 0.840 0.635 O
0.373 0.489 0.168 O
0.375 0.118 0.508 O
0.382 0.517 0.694 O
0.422 0.160 0.032 O
0.483 0.865 0.027 O
0.489 0.373 0.832 O
0.511 0.884 0.502 O
0.517 0.382 0.306 O
0.578 0.738 0.302 O
0.618 0.135 0.640 O
0.625 0.744 0.825 O
0.627 0.116 0.165 O
0.738 0.578 0.698 O
0.744 0.625 0.175 O
0.840 0.262 0.365 O
0.865 0.483 0.973 O
0.882 0.256 0.841 O
0.884 0.511 0.498 O
0.898 0.898 0.000 O
```

Properties
- symmetry = P3_121 (152)

=====

A relaxed structure of Nd2Ti2O7. Source: the Materials Project, functional PBE.

POSCAR file:
```
Nd2Ti2O7
1.0
7.703 0.000 0.000
0.000 5.524 0.000
-1.950 0.000 13.147
Nd Ti O
8 8 28
Direct
0.145 0.000 0.069 Nd
0.231 0.398 0.415 Nd
0.282 0.885 0.624 Nd
0.351 0.427 0.882 Nd
0.649 0.927 0.118 Nd
0.718 0.385 0.376 Nd
0.769 0.898 0.585 Nd
0.855 0.500 0.931 Nd
0.032 0.403 0.621 Ti
0.070 0.929 0.820 Ti
0.414 0.438 0.174 Ti
0.471 0.901 0.376 Ti
0.529 0.401 0.624 Ti
0.586 0.938 0.826 Ti
0.930 0.429 0.180 Ti
0.968 0.903 0.379 Ti
0.020 0.080 0.682 O
0.047 0.658 0.522 O
0.077 0.198 0.905 O
0.119 0.594 0.729 O
0.131 0.712 0.928 O
0.173 0.333 0.192 O
0.222 0.957 0.389 O
0.273 0.305 0.592 O
0.328 0.997 0.806 O
0.372 0.723 0.113 O
0.410 0.230 0.058 O
0.430 0.577 0.319 O
0.465 0.657 0.524 O
0.495 0.590 0.732 O
0.505 0.090 0.268 O
0.535 0.157 0.476 O
0.570 0.077 0.681 O
0.590 0.730 0.942 O
0.628 0.223 0.887 O
0.672 0.497 0.194 O
0.727 0.805 0.408 O
0.778 0.457 0.611 O
0.827 0.833 0.808 O
0.869 0.212 0.072 O
0.881 0.094 0.271 O
0.923 0.698 0.095 O
0.953 0.158 0.478 O
0.980 0.580 0.318 O
```

Properties
- symmetry = P2_1 (4)

=====

A relaxed structure of Ba2CeBiO6. Source: the Materials Project, functional PBE.

POSCAR file:
```
Ba2CeBiO6
1.0
6.277 0.000 0.000
0.000 6.262 0.000
-6.276 0.000 8.840
Ba Ce Bi O
4 2 2 12
Direct
0.244 0.021 0.250 Ba
0.244 0.479 0.750 Ba
0.756 0.521 0.250 Ba
0.756 0.979 0.750 Ba
0.000 0.000 0.500 Ce
0.000 0.500 0.000 Ce
0.500 0.000 0.000 Bi
0.500 0.500 0.500 Bi
0.183 0.225 0.961 O
0.183 0.275 0.461 O
0.237 0.722 0.962 O
0.237 0.778 0.462 O
0.319 0.012 0.749 O
0.319 0.488 0.249 O
0.681 0.512 0.751 O
0.681 0.988 0.251 O
0.763 0.222 0.538 O
0.763 0.278 0.038 O
0.817 0.725 0.539 O
0.817 0.775 0.039 O
```

Properties
- symmetry = P2_1/c (14)

=====

A relaxed structure of LaGa2Ni3. Source: the Materials Project, functional PBE.

POSCAR file:
```
LaGa2Ni3
1.0
8.942 0.000 0.000
-4.471 7.744 0.000
0.000 0.000 4.154
La Ga Ni
3 6 9
Direct
0.000 0.000 0.000 La
0.333 0.667 0.500 La
0.667 0.333 0.500 La
0.000 0.278 0.500 Ga
0.000 0.510 0.000 Ga
0.278 0.000 0.500 Ga
0.490 0.490 0.000 Ga
0.510 0.000 0.000 Ga
0.722 0.722 0.500 Ga
0.000 0.708 0.500 Ni
0.179 0.366 0.000 Ni
0.187 0.821 0.000 Ni
0.292 0.292 0.500 Ni
0.366 0.179 0.000 Ni
0.634 0.813 0.000 Ni
0.708 0.000 0.500 Ni
0.813 0.634 0.000 Ni
0.821 0.187 0.000 Ni
```

Properties
- symmetry = P-62m (189)

=====

A relaxed structure of W21S8. Source: the Materials Project, functional PBE.

POSCAR file:
```
W21S8
1.0
-8.362 8.362 1.560
8.362 -8.362 1.560
8.362 8.362 -1.560
W S
21 8
Direct
0.000 0.000 0.000 W
0.014 0.721 0.735 W
0.079 0.451 0.529 W
0.188 0.620 0.808 W
0.192 0.802 0.994 W
0.198 0.192 0.390 W
0.279 0.014 0.293 W
0.344 0.558 0.903 W
0.380 0.188 0.567 W
0.442 0.344 0.786 W
0.451 0.921 0.372 W
0.549 0.079 0.628 W
0.558 0.656 0.214 W
0.620 0.812 0.433 W
0.656 0.442 0.097 W
0.721 0.986 0.707 W
0.802 0.808 0.610 W
0.808 0.198 0.006 W
0.812 0.380 0.192 W
0.921 0.549 0.471 W
0.986 0.279 0.265 W
0.060 0.865 0.925 S
0.135 0.060 0.195 S
0.214 0.373 0.587 S
0.373 0.786 0.158 S
0.627 0.214 0.842 S
0.786 0.627 0.413 S
0.865 0.940 0.805 S
0.940 0.135 0.075 S
```

Properties
- symmetry = I4/m (87)

=====

A relaxed structure of AlGaRu2. Source: the Materials Project, functional PBE.

POSCAR file:
```
AlGaRu2
1.0
6.036 0.000 0.000
0.000 6.036 0.000
0.000 0.000 6.036
Al Ga Ru
4 4 8
Direct
0.000 0.000 0.000 Al
0.000 0.500 0.500 Al
0.500 0.000 0.500 Al
0.500 0.500 0.000 Al
0.000 0.000 0.500 Ga
0.000 0.500 0.000 Ga
0.500 0.000 0.000 Ga
0.500 0.500 0.500 Ga
0.250 0.250 0.250 Ru
0.250 0.250 0.750 Ru
0.250 0.750 0.250 Ru
0.250 0.750 0.750 Ru
0.750 0.250 0.250 Ru
0.750 0.250 0.750 Ru
0.750 0.750 0.250 Ru
0.750 0.750 0.750 Ru
```

Properties
- symmetry = Fm-3m (225)

=====

A relaxed structure of Pm2TlCd. Source: the Materials Project, functional PBE.

POSCAR file:
```
Pm2TlCd
1.0
7.732 0.000 0.000
0.000 7.732 0.000
0.000 0.000 7.732
Pm Tl Cd
8 4 4
Direct
0.250 0.250 0.250 Pm
0.250 0.250 0.750 Pm
0.250 0.750 0.250 Pm
0.250 0.750 0.750 Pm
0.750 0.250 0.250 Pm
0.750 0.250 0.750 Pm
0.750 0.750 0.250 Pm
0.750 0.750 0.750 Pm
0.000 0.000 0.000 Tl
0.000 0.500 0.500 Tl
0.500 0.000 0.500 Tl
0.500 0.500 0.000 Tl
0.000 0.000 0.500 Cd
0.000 0.500 0.000 Cd
0.500 0.000 0.000 Cd
0.500 0.500 0.500 Cd
```

Properties
- symmetry = Fm-3m (225)

=====

A relaxed structure of TeMoWSeS2. Source: the Materials Project, functional PBE.

POSCAR file:
```
TeMoWSeS2
1.0
3.307 0.000 0.000
-1.653 2.864 0.000
0.000 0.000 37.593
Te Mo W Se S
2 2 2 2 4
Direct
0.000 0.000 0.000 Te
0.000 0.000 0.102 Te
0.000 0.000 0.239 Mo
0.667 0.333 0.051 Mo
0.000 0.000 0.614 W
0.667 0.333 0.427 W
0.667 0.333 0.570 Se
0.667 0.333 0.659 Se
0.000 0.000 0.386 S
0.000 0.000 0.467 S
0.667 0.333 0.198 S
0.667 0.333 0.279 S
```

Properties
- symmetry = P3m1 (156)

=====

A relaxed structure of SiO2. Source: the Materials Project, functional PBE.

POSCAR file:
```
SiO2
1.0
7.196 0.000 0.000
0.000 7.196 0.000
0.000 0.000 8.896
Si O
8 16
Direct
0.000 0.282 0.181 Si
0.000 0.282 0.819 Si
0.000 0.718 0.181 Si
0.000 0.718 0.819 Si
0.282 0.000 0.319 Si
0.282 0.000 0.681 Si
0.718 0.000 0.319 Si
0.718 0.000 0.681 Si
0.000 0.255 0.000 O
0.000 0.500 0.225 O
0.000 0.500 0.775 O
0.000 0.745 0.000 O
0.186 0.186 0.250 O
0.186 0.186 0.750 O
0.186 0.814 0.250 O
0.186 0.814 0.750 O
0.255 0.000 0.500 O
0.500 0.000 0.275 O
0.500 0.000 0.725 O
0.745 0.000 0.500 O
0.814 0.186 0.250 O
0.814 0.186 0.750 O
0.814 0.814 0.250 O
0.814 0.814 0.750 O
```

Properties
- symmetry = P4_2/mmc (131)

=====

A relaxed structure of CdGeN2. Source: the Materials Project, functional PBE.

POSCAR file:
```
CdGeN2
1.0
5.686 0.000 0.000
0.000 6.954 0.000
0.000 0.000 5.492
Cd Ge N
4 4 8
Direct
0.080 0.124 0.000 Cd
0.420 0.624 0.500 Cd
0.580 0.376 0.000 Cd
0.920 0.876 0.500 Cd
0.066 0.625 0.003 Ge
0.434 0.125 0.503 Ge
0.566 0.875 0.003 Ge
0.934 0.375 0.503 Ge
0.048 0.593 0.343 N
0.115 0.157 0.414 N
0.385 0.657 0.914 N
0.452 0.093 0.843 N
0.548 0.907 0.343 N
0.615 0.343 0.414 N
0.885 0.843 0.914 N
0.952 0.407 0.843 N
```

Properties
- piezoelectric modulus e_max (C/m²) = 2.0
- symmetry = Pna2_1 (33)

=====

A relaxed structure of TlC4O10. Source: the Materials Project, functional PBE.

POSCAR file:
```
TlC4O10
1.0
6.775 0.000 0.000
0.735 8.358 0.000
0.094 3.460 12.290
Tl C O
2 8 20
Direct
0.150 0.389 0.273 Tl
0.850 0.611 0.727 Tl
0.239 0.784 0.365 C
0.284 0.973 0.600 C
0.356 0.496 0.878 C
0.489 0.082 0.117 C
0.511 0.918 0.883 C
0.644 0.504 0.122 C
0.716 0.027 0.400 C
0.761 0.216 0.635 C
0.012 0.330 0.785 O
0.125 0.403 0.701 O
0.204 0.927 0.323 O
0.228 0.583 0.901 O
0.242 0.103 0.538 O
0.278 0.643 0.410 O
0.327 0.841 0.660 O
0.360 0.188 0.088 O
0.382 0.023 0.854 O
0.488 0.411 0.855 O
0.512 0.589 0.145 O
0.618 0.977 0.146 O
0.640 0.812 0.912 O
0.673 0.159 0.340 O
0.722 0.357 0.590 O
0.758 0.897 0.462 O
0.772 0.417 0.099 O
0.796 0.073 0.677 O
0.875 0.597 0.299 O
0.988 0.670 0.215 O
```

Properties
- symmetry = P-1 (2)

=====

A relaxed structure of NbRu. Source: the Materials Project, functional PBE.

POSCAR file:
```
NbRu
1.0
3.186 0.000 0.000
0.000 3.186 0.000
0.000 0.000 3.186
Nb Ru
1 1
Direct
0.000 0.000 0.000 Nb
0.500 0.500 0.500 Ru
```

Properties
- symmetry = Pm-3m (221)

=====

no.,formation energy from the elements (eV per formula unit),total DFT energy (no corrections) (eV/atom),ρ (Mg/m³)
1,-28.8,-6.264,3.1
2,-41.0,-8.745,5.9
3,-29.0,-6.818,6.9
4,-3.1,-5.233,7.9
5,2.0,-10.316,15.7
6,-2.0,-6.819,9.0
7,-1.4,-3.548,8.7
8,-4.5,-7.029,5.1
9,-9.8,-7.902,1.7
10,-0.6,-5.516,6.5
11,-17.2,-6.956,2.0
12,-0.3,-9.842,10.0